[1]
## MgH12SO9 (PBE)

Data for MgH12SO9 after structural relaxation.

Calculated values
- E_tot (eV/atom) = -4.896
- maximum piezoelectric response (C/m2) = 6.2
- formation energy from the elements (meV/atom) = -1209
- relative energy among the computed polymorphs (kcal/mol of atoms) = 6.76

a = 4.896 Å, b = 6.299 Å, c = 6.821 Å
α = 116.19°, β = 92.09°, γ = 90.87°
Space group P1 (No. 1)
Unique sites:
Mg: 0.000 0.000 0.000
H: 0.125 0.418 0.898
H: 0.157 0.162 0.402
H: 0.195 0.942 0.507
H: 0.213 0.068 0.593
H: 0.330 0.669 0.850
H: 0.412 0.245 0.324
H: 0.428 0.342 0.919
H: 0.459 0.921 0.858
H: 0.567 0.566 0.603
H: 0.730 0.371 0.629
H: 0.764 0.042 0.646
H: 0.939 0.527 0.386
S: 0.713 0.691 0.217
O: 0.217 0.192 0.281
O: 0.294 0.802 0.809
O: 0.309 0.416 0.846
O: 0.644 0.142 0.958
O: 0.674 0.930 0.403
O: 0.687 0.435 0.524
O: 0.827 0.732 0.030
O: 0.842 0.152 0.801
O: 0.997 0.597 0.287

***

[2]
## MgH12SO9 (PBE)

Data for MgH12SO9 after structural relaxation.

Calculated values
- E_tot (eV/atom) = -5.189
- maximum piezoelectric response (C/m2) = 0.3
- formation energy from the elements (meV/atom) = -1502
- relative energy among the computed polymorphs (kcal/mol of atoms) = 0.00

a = 8.8423 Å, b = 8.8423 Å, c = 9.1639 Å
α = 90.00°, β = 90.00°, γ = 120.00°
Space group R3 (No. 146, hexagonal axes)
Unique sites:
Mg: 0.0000 0.0000 0.0000
H: 0.0142 0.4156 0.7920
H: 0.0228 0.1806 0.2521
H: 0.0345 0.5530 0.5073
H: 0.1246 0.7620 0.5044
S: 0.0000 0.0000 0.5044
O: 0.0038 0.8029 0.8802
O: 0.0494 0.1789 0.4331
O: 0.1427 0.4748 0.8127

***

[3]
## MgH12SO9 (PBE)

Data for MgH12SO9 after structural relaxation.

Calculated values
- E_tot (eV/atom) = -4.900
- formation energy from the elements (meV/atom) = -1213
- relative energy among the computed polymorphs (kcal/mol of atoms) = 6.66

a = 5.379 Å, b = 8.518 Å, c = 8.880 Å
α = 62.91°, β = 77.69°, γ = 88.20°
Space group P1 (No. 1)
Unique sites:
Mg: 0.000 0.000 0.000
H: 0.017 0.103 0.218
H: 0.079 0.902 0.317
H: 0.100 0.273 0.299
H: 0.192 0.296 0.531
H: 0.220 0.369 0.097
H: 0.271 0.626 0.156
H: 0.301 0.534 0.519
H: 0.367 0.516 0.445
H: 0.396 0.949 0.506
H: 0.598 0.893 0.391
H: 0.849 0.321 0.851
H: 0.919 0.169 0.718
S: 0.552 0.816 0.936
O: 0.075 0.291 0.184
O: 0.157 0.201 0.502
O: 0.349 0.937 0.953
O: 0.395 0.617 0.062
O: 0.421 0.865 0.459
O: 0.738 0.820 0.040
O: 0.937 0.098 0.645
O: 0.962 0.236 0.834
O: 0.968 0.976 0.242